Density functional theory data (PBE with a Hubbard U) for a relaxed Na3Li4Mn5O9 crystal.

Values from the calculation:
Density in Mg/m³: 3.19
Formation energy from the elements in eV/atom: -1.86

Cell lengths 5.9007, 5.9649, 8.9770 Å; angles 97.27, 95.21, 119.46 degrees
Fractional positions:
Na 0.1680 0.8535 0.4893
Na 0.8571 0.1695 0.4922
Na 0.4684 0.4663 0.4864
Li 0.7318 0.6850 0.0530
Li 0.2887 0.0241 0.0647
Li 0.0569 0.3537 0.0465
Li 0.6397 0.9827 0.9516
Mn 0.4323 0.7566 0.2426
Mn 0.7578 0.4044 0.2445
Mn 0.9218 0.9128 0.7595
Mn 0.5812 0.2721 0.7735
Mn 0.2310 0.5754 0.7732
O 0.3513 0.6905 0.0095
O 0.6705 0.3193 0.0102
O 0.7354 0.7196 0.3090
O 0.1211 0.4876 0.3100
O 0.4778 0.1039 0.3130
O 0.8798 0.5455 0.6708
O 0.5496 0.8993 0.7058
O 0.2188 0.2260 0.6703
O 0.9681 0.9970 0.9874